Entry from the Materials Project: an optimized crystal structure of V2Ni2O7 (PBE+U).

Cell and atoms, written as CIF:
```
data_V2Ni2O7
_symmetry_space_group_name_H-M 'P 1'
_symmetry_Int_Tables_number 1
_symmetry_space_group_name_Hall 'P 1'
_cell_length_a 6.632
_cell_length_b 8.426
_cell_length_c 9.511
_cell_angle_alpha 90.00
_cell_angle_beta 100.09
_cell_angle_gamma 90.00
loop_
_atom_site_label
_atom_site_type_symbol
_atom_site_fract_x
_atom_site_fract_y
_atom_site_fract_z
V1 V 0.137 0.240 0.469
V2 V 0.137 0.260 0.969
V3 V 0.305 0.519 0.688
V4 V 0.305 0.981 0.188
V5 V 0.695 0.019 0.812
V6 V 0.695 0.481 0.312
V7 V 0.863 0.740 0.031
V8 V 0.863 0.760 0.531
Ni1 Ni 0.197 0.613 0.321
Ni2 Ni 0.197 0.887 0.821
Ni3 Ni 0.354 0.621 0.037
Ni4 Ni 0.354 0.879 0.537
Ni5 Ni 0.646 0.121 0.463
Ni6 Ni 0.646 0.379 0.963
Ni7 Ni 0.803 0.113 0.179
Ni8 Ni 0.803 0.387 0.679
O1 O 0.074 0.626 0.106
O2 O 0.074 0.874 0.606
O3 O 0.104 0.132 0.125
O4 O 0.104 0.368 0.625
O5 O 0.179 0.124 0.849
O6 O 0.179 0.376 0.349
O7 O 0.245 0.643 0.820
O8 O 0.245 0.857 0.320
O9 O 0.329 0.632 0.541
O10 O 0.329 0.868 0.041
O11 O 0.354 0.120 0.505
O12 O 0.354 0.380 0.005
O13 O 0.471 0.583 0.252
O14 O 0.471 0.917 0.752
O15 O 0.529 0.083 0.248
O16 O 0.529 0.417 0.748
O17 O 0.646 0.620 0.995
O18 O 0.646 0.880 0.495
O19 O 0.671 0.132 0.959
O20 O 0.671 0.368 0.459
O21 O 0.755 0.143 0.680
O22 O 0.755 0.357 0.180
O23 O 0.821 0.624 0.651
O24 O 0.821 0.876 0.151
O25 O 0.896 0.632 0.375
O26 O 0.896 0.868 0.875
O27 O 0.926 0.126 0.394
O28 O 0.926 0.374 0.894
```

Calculated values
Formation energy from the elements: -1.968 eV per atom
Total energy: -6.611 eV per atom
Symmetry: No. 14